# 1
# Eu2Mo2O7, relaxed, DFT PBE+U
data_Eu2Mo2O7
_chemical_formula_sum 'Eu4 Mo4 O14'
_symmetry_space_group_name_H-M 'P 1'
_symmetry_Int_Tables_number 1
_cell_length_a 7.463
_cell_length_b 7.463
_cell_length_c 7.463
_cell_angle_alpha 60.00
_cell_angle_beta 60.00
_cell_angle_gamma 60.00
loop_
_symmetry_equiv_pos_as_xyz
'x,y,z'
loop_
_atom_site_label
_atom_site_type_symbol
_atom_site_fract_x
_atom_site_fract_y
_atom_site_fract_z
Eu1 Eu 0.625 0.125 0.125
Eu2 Eu 0.125 0.625 0.125
Eu3 Eu 0.125 0.125 0.625
Eu4 Eu 0.125 0.125 0.125
Mo1 Mo 0.125 0.625 0.625
Mo2 Mo 0.625 0.125 0.625
Mo3 Mo 0.625 0.625 0.125
Mo4 Mo 0.625 0.625 0.625
O1 O 0.250 0.250 0.250
O2 O 0.000 0.000 0.000
O3 O 0.700 0.700 0.300
O4 O 0.300 0.300 0.700
O5 O 0.700 0.300 0.700
O6 O 0.300 0.700 0.300
O7 O 0.300 0.700 0.700
O8 O 0.700 0.300 0.300
O9 O 0.550 0.550 0.950
O10 O 0.950 0.950 0.550
O11 O 0.550 0.950 0.550
O12 O 0.950 0.550 0.950
O13 O 0.950 0.550 0.550
O14 O 0.550 0.950 0.950
# E (MP2020): -106.04 eV/f.u.
# space group: Fd-3m, No. 227
# energy of formation from the pure elements: -2.65 eV per atom

***

# 2
# RbEuMo2O8, relaxed, DFT PBE+U
data_RbEuMo2O8
_chemical_formula_sum 'Rb2 Eu2 Mo4 O16'
_symmetry_space_group_name_H-M 'P 1'
_symmetry_Int_Tables_number 1
_cell_length_a 7.647
_cell_length_b 7.647
_cell_length_c 7.870
_cell_angle_alpha 61.94
_cell_angle_beta 61.94
_cell_angle_gamma 88.61
loop_
_symmetry_equiv_pos_as_xyz
'x,y,z'
loop_
_atom_site_label
_atom_site_type_symbol
_atom_site_fract_x
_atom_site_fract_y
_atom_site_fract_z
Rb1 Rb 0.200 0.800 0.750
Rb2 Rb 0.800 0.200 0.250
Eu1 Eu 0.770 0.230 0.750
Eu2 Eu 0.230 0.770 0.250
Mo1 Mo 0.694 0.696 0.761
Mo2 Mo 0.306 0.304 0.239
Mo3 Mo 0.304 0.306 0.739
Mo4 Mo 0.696 0.694 0.261
O1 O 0.616 0.764 0.563
O2 O 0.384 0.236 0.437
O3 O 0.236 0.384 0.937
O4 O 0.764 0.616 0.063
O5 O 0.383 0.072 0.870
O6 O 0.617 0.928 0.130
O7 O 0.928 0.617 0.630
O8 O 0.072 0.383 0.370
O9 O 0.581 0.370 0.974
O10 O 0.419 0.630 0.026
O11 O 0.630 0.419 0.526
O12 O 0.370 0.581 0.474
O13 O 0.793 0.948 0.691
O14 O 0.207 0.052 0.309
O15 O 0.052 0.207 0.809
O16 O 0.948 0.793 0.191
# E (MP2020): -100.59 eV/f.u.
# space group: C2/c, No. 15
# energy of formation from the pure elements: -2.34 eV per atom
# total magnetic moment: 12.00 Bohr magnetons per cell

***

# 3
# EuTlMo2O8, relaxed, DFT PBE+U
data_EuTlMo2O8
_chemical_formula_sum 'Eu2 Tl2 Mo4 O16'
_symmetry_space_group_name_H-M 'P 1'
_symmetry_Int_Tables_number 1
_cell_length_a 6.369
_cell_length_b 6.369
_cell_length_c 9.638
_cell_angle_alpha 90.00
_cell_angle_beta 90.00
_cell_angle_gamma 90.00
loop_
_symmetry_equiv_pos_as_xyz
'x,y,z'
loop_
_atom_site_label
_atom_site_type_symbol
_atom_site_fract_x
_atom_site_fract_y
_atom_site_fract_z
Eu1 Eu 0.000 0.000 0.500
Eu2 Eu 0.500 0.500 0.000
Tl1 Tl 0.000 0.000 0.000
Tl2 Tl 0.500 0.500 0.500
Mo1 Mo 0.000 0.500 0.750
Mo2 Mo 0.500 0.000 0.750
Mo3 Mo 0.000 0.500 0.250
Mo4 Mo 0.500 0.000 0.250
O1 O 0.891 0.301 0.639
O2 O 0.699 0.891 0.639
O3 O 0.301 0.109 0.639
O4 O 0.891 0.699 0.361
O5 O 0.109 0.301 0.361
O6 O 0.109 0.699 0.639
O7 O 0.301 0.891 0.361
O8 O 0.699 0.109 0.361
O9 O 0.609 0.199 0.861
O10 O 0.801 0.609 0.861
O11 O 0.199 0.391 0.861
O12 O 0.609 0.801 0.139
O13 O 0.391 0.199 0.139
O14 O 0.391 0.801 0.861
O15 O 0.199 0.609 0.139
O16 O 0.801 0.391 0.139
# E (MP2020): -100.10 eV/f.u.
# space group: P4/nnc, No. 126
# energy of formation from the pure elements: -2.18 eV per atom
# total magnetic moment: 12.00 Bohr magnetons per cell

***

# 4
# EuTlMo2O8, relaxed, DFT PBE+U
data_EuTlMo2O8
_chemical_formula_sum 'Eu4 Tl4 Mo8 O32'
_symmetry_space_group_name_H-M 'P 1'
_symmetry_Int_Tables_number 1
_cell_length_a 5.265
_cell_length_b 8.485
_cell_length_c 19.070
_cell_angle_alpha 90.00
_cell_angle_beta 90.00
_cell_angle_gamma 90.00
loop_
_symmetry_equiv_pos_as_xyz
'x,y,z'
loop_
_atom_site_label
_atom_site_type_symbol
_atom_site_fract_x
_atom_site_fract_y
_atom_site_fract_z
Eu1 Eu 0.500 0.750 0.493
Eu2 Eu 0.500 0.250 0.507
Eu3 Eu 0.000 0.250 0.007
Eu4 Eu 0.000 0.750 0.993
Tl1 Tl 0.500 0.750 0.730
Tl2 Tl 0.500 0.250 0.270
Tl3 Tl 0.000 0.250 0.770
Tl4 Tl 0.000 0.750 0.230
Mo1 Mo 0.521 0.017 0.899
Mo2 Mo 0.479 0.983 0.101
Mo3 Mo 0.021 0.483 0.399
Mo4 Mo 0.021 0.983 0.601
Mo5 Mo 0.521 0.517 0.101
Mo6 Mo 0.979 0.517 0.601
Mo7 Mo 0.979 0.017 0.399
Mo8 Mo 0.479 0.483 0.899
O1 O 0.244 0.996 0.461
O2 O 0.276 0.652 0.903
O3 O 0.234 0.315 0.410
O4 O 0.256 0.496 0.039
O5 O 0.756 0.504 0.461
O6 O 0.776 0.848 0.403
O7 O 0.756 0.004 0.539
O8 O 0.234 0.815 0.590
O9 O 0.100 0.023 0.313
O10 O 0.734 0.685 0.090
O11 O 0.600 0.477 0.813
O12 O 0.224 0.652 0.403
O13 O 0.224 0.152 0.597
O14 O 0.744 0.504 0.961
O15 O 0.766 0.185 0.410
O16 O 0.400 0.023 0.813
O17 O 0.900 0.977 0.687
O18 O 0.244 0.496 0.539
O19 O 0.734 0.185 0.910
O20 O 0.100 0.523 0.687
O21 O 0.600 0.977 0.187
O22 O 0.724 0.848 0.903
O23 O 0.776 0.348 0.597
O24 O 0.266 0.815 0.090
O25 O 0.400 0.523 0.187
O26 O 0.766 0.685 0.590
O27 O 0.724 0.348 0.097
O28 O 0.266 0.315 0.910
O29 O 0.276 0.152 0.097
O30 O 0.900 0.477 0.313
O31 O 0.744 0.004 0.039
O32 O 0.256 0.996 0.961
# E (MP2020): -100.19 eV/f.u.
# space group: Pbcn, No. 60
# energy of formation from the pure elements: -2.19 eV per atom
# total magnetic moment: 24.09 Bohr magnetons per cell

***

# 5
# Eu2Mo2WO12, relaxed, DFT PBE+U
data_Eu2Mo2WO12
_chemical_formula_sum 'Eu4 Mo4 W2 O24'
_symmetry_space_group_name_H-M 'P 1'
_symmetry_Int_Tables_number 1
_cell_length_a 7.041
_cell_length_b 7.041
_cell_length_c 11.773
_cell_angle_alpha 79.34
_cell_angle_beta 79.34
_cell_angle_gamma 111.84
loop_
_symmetry_equiv_pos_as_xyz
'x,y,z'
loop_
_atom_site_label
_atom_site_type_symbol
_atom_site_fract_x
_atom_site_fract_y
_atom_site_fract_z
Eu1 Eu 0.197 0.453 0.092
Eu2 Eu 0.547 0.803 0.408
Eu3 Eu 0.803 0.547 0.908
Eu4 Eu 0.453 0.197 0.592
Mo1 Mo 0.026 0.304 0.447
Mo2 Mo 0.696 0.974 0.053
Mo3 Mo 0.974 0.696 0.553
Mo4 Mo 0.304 0.026 0.947
W1 W 0.621 0.379 0.250
W2 W 0.379 0.621 0.750
O1 O 0.739 0.138 0.461
O2 O 0.862 0.261 0.039
O3 O 0.261 0.862 0.539
O4 O 0.138 0.739 0.961
O5 O 0.518 0.094 0.287
O6 O 0.906 0.482 0.213
O7 O 0.482 0.906 0.713
O8 O 0.094 0.518 0.787
O9 O 0.546 0.463 0.114
O10 O 0.537 0.454 0.386
O11 O 0.454 0.537 0.886
O12 O 0.463 0.546 0.614
O13 O 0.880 0.811 0.442
O14 O 0.189 0.120 0.058
O15 O 0.120 0.189 0.558
O16 O 0.811 0.880 0.942
O17 O 0.154 0.280 0.308
O18 O 0.720 0.846 0.192
O19 O 0.846 0.720 0.692
O20 O 0.280 0.154 0.808
O21 O 0.401 0.830 0.084
O22 O 0.170 0.599 0.416
O23 O 0.599 0.170 0.916
O24 O 0.830 0.401 0.584
# E (MP2020): -155.30 eV/f.u.
# space group: C2/c, No. 15
# energy of formation from the pure elements: -2.40 eV per atom
# total magnetic moment: 24.00 Bohr magnetons per cell

***

# 6
# NaEuV4O12, relaxed, DFT PBE+U
data_NaEuV4O12
_chemical_formula_sum 'Na1 Eu1 V4 O12'
_symmetry_space_group_name_H-M 'P 1'
_symmetry_Int_Tables_number 1
_cell_length_a 5.507
_cell_length_b 5.507
_cell_length_c 7.417
_cell_angle_alpha 90.00
_cell_angle_beta 90.00
_cell_angle_gamma 97.49
loop_
_symmetry_equiv_pos_as_xyz
'x,y,z'
loop_
_atom_site_label
_atom_site_type_symbol
_atom_site_fract_x
_atom_site_fract_y
_atom_site_fract_z
Na1 Na 0.994 0.006 0.500
Eu1 Eu 0.458 0.542 0.000
V1 V 0.477 0.036 0.255
V2 V 0.477 0.036 0.745
V3 V 0.964 0.523 0.745
V4 V 0.964 0.523 0.255
O1 O 0.299 0.263 0.249
O2 O 0.737 0.701 0.249
O3 O 0.737 0.701 0.751
O4 O 0.299 0.263 0.751
O5 O 0.246 0.754 0.219
O6 O 0.785 0.215 0.280
O7 O 0.785 0.215 0.720
O8 O 0.246 0.754 0.781
O9 O 0.536 0.016 0.000
O10 O 0.466 0.969 0.500
O11 O 0.984 0.464 0.000
O12 O 0.031 0.534 0.500
# E (MP2020): -150.41 eV/f.u.
# space group: Amm2, No. 38
# energy of formation from the pure elements: -2.40 eV per atom
# total magnetic moment: 5.99 Bohr magnetons per cell

***

# 7
# Na3EuV2O8, relaxed, DFT PBE+U
data_Na3EuV2O8
_chemical_formula_sum 'Na3 Eu1 V2 O8'
_symmetry_space_group_name_H-M 'P 1'
_symmetry_Int_Tables_number 1
_cell_length_a 5.988
_cell_length_b 5.988
_cell_length_c 7.327
_cell_angle_alpha 90.00
_cell_angle_beta 90.00
_cell_angle_gamma 120.00
loop_
_symmetry_equiv_pos_as_xyz
'x,y,z'
loop_
_atom_site_label
_atom_site_type_symbol
_atom_site_fract_x
_atom_site_fract_y
_atom_site_fract_z
Na1 Na 0.333 0.667 0.694
Na2 Na 0.667 0.333 0.306
Na3 Na 0.000 0.000 0.000
Eu1 Eu 0.000 0.000 0.500
V1 V 0.333 0.667 0.221
V2 V 0.667 0.333 0.779
O1 O 0.333 0.667 0.992
O2 O 0.667 0.333 0.008
O3 O 0.174 0.826 0.305
O4 O 0.826 0.174 0.695
O5 O 0.174 0.348 0.305
O6 O 0.826 0.652 0.695
O7 O 0.652 0.826 0.305
O8 O 0.348 0.174 0.695
# E (MP2020): -106.30 eV/f.u.
# space group: P-3m1, No. 164
# energy of formation from the pure elements: -2.45 eV per atom
# total magnetic moment: 5.96 Bohr magnetons per cell

***

# 8
# NaEuZrWO6, relaxed, DFT PBE+U
data_NaEuZrWO6
_chemical_formula_sum 'Na1 Eu1 Zr1 W1 O6'
_symmetry_space_group_name_H-M 'P 1'
_symmetry_Int_Tables_number 1
_cell_length_a 5.775
_cell_length_b 5.775
_cell_length_c 5.775
_cell_angle_alpha 60.00
_cell_angle_beta 60.00
_cell_angle_gamma 60.00
loop_
_symmetry_equiv_pos_as_xyz
'x,y,z'
loop_
_atom_site_label
_atom_site_type_symbol
_atom_site_fract_x
_atom_site_fract_y
_atom_site_fract_z
Na1 Na 0.250 0.250 0.250
Eu1 Eu 0.750 0.750 0.750
Zr1 Zr 0.000 0.000 0.000
W1 W 0.500 0.500 0.500
O1 O 0.743 0.257 0.257
O2 O 0.257 0.743 0.743
O3 O 0.743 0.257 0.743
O4 O 0.257 0.743 0.257
O5 O 0.743 0.743 0.257
O6 O 0.257 0.257 0.743
# E (MP2020): -91.17 eV/f.u.
# space group: F-43m, No. 216
# energy of formation from the pure elements: -2.84 eV per atom
# total magnetic moment: 8.00 Bohr magnetons per cell